Entry 1:
# GGA-PBE SbMo6S8, optimized geometry
data_SbMo6S8
_cell_length_a 6.549
_cell_length_b 6.549
_cell_length_c 6.549
_cell_angle_alpha 90.29
_cell_angle_beta 90.29
_cell_angle_gamma 90.29
_symmetry_space_group_name_H-M 'P 1'
_symmetry_Int_Tables_number 1
loop_
_symmetry_equiv_pos_as_xyz
'x,y,z'
loop_
_atom_site_label
_atom_site_type_symbol
_atom_site_fract_x
_atom_site_fract_y
_atom_site_fract_z
Sb1 Sb 0.000 0.000 0.000
Mo1 Mo 0.224 0.415 0.560
Mo2 Mo 0.415 0.560 0.224
Mo3 Mo 0.440 0.776 0.585
Mo4 Mo 0.560 0.224 0.415
Mo5 Mo 0.585 0.440 0.776
Mo6 Mo 0.776 0.585 0.440
S1 S 0.127 0.741 0.374
S2 S 0.237 0.237 0.237
S3 S 0.259 0.626 0.873
S4 S 0.374 0.127 0.741
S5 S 0.626 0.873 0.259
S6 S 0.741 0.374 0.127
S7 S 0.763 0.763 0.763
S8 S 0.873 0.259 0.626
# **Formation enthalpy at 0 K**: -12.9 eV per formula unit

---

Entry 2:
# GGA-PBE Ho4MgNi, optimized geometry
data_Ho4MgNi
_cell_length_a 9.574
_cell_length_b 9.574
_cell_length_c 9.574
_cell_angle_alpha 60.00
_cell_angle_beta 60.00
_cell_angle_gamma 60.00
_symmetry_space_group_name_H-M 'P 1'
_symmetry_Int_Tables_number 1
loop_
_symmetry_equiv_pos_as_xyz
'x,y,z'
loop_
_atom_site_label
_atom_site_type_symbol
_atom_site_fract_x
_atom_site_fract_y
_atom_site_fract_z
Ho1 Ho 0.186 0.186 0.814
Ho2 Ho 0.186 0.814 0.186
Ho3 Ho 0.186 0.814 0.814
Ho4 Ho 0.403 0.403 0.403
Ho5 Ho 0.403 0.403 0.792
Ho6 Ho 0.403 0.792 0.403
Ho7 Ho 0.563 0.563 0.937
Ho8 Ho 0.563 0.937 0.563
Ho9 Ho 0.563 0.937 0.937
Ho10 Ho 0.792 0.403 0.403
Ho11 Ho 0.814 0.186 0.186
Ho12 Ho 0.814 0.186 0.814
Ho13 Ho 0.814 0.814 0.186
Ho14 Ho 0.937 0.563 0.563
Ho15 Ho 0.937 0.563 0.937
Ho16 Ho 0.937 0.937 0.563
Mg1 Mg 0.170 0.170 0.170
Mg2 Mg 0.170 0.170 0.491
Mg3 Mg 0.170 0.491 0.170
Mg4 Mg 0.491 0.170 0.170
Ni1 Ni 0.177 0.608 0.608
Ni2 Ni 0.608 0.177 0.608
Ni3 Ni 0.608 0.608 0.177
Ni4 Ni 0.608 0.608 0.608
# **Formation enthalpy at 0 K**: -1.2 eV per formula unit

---

Entry 3:
# GGA-PBE K2AgSbCl6, optimized geometry
data_K2AgSbCl6
_cell_length_a 7.571
_cell_length_b 7.571
_cell_length_c 7.571
_cell_angle_alpha 60.00
_cell_angle_beta 60.00
_cell_angle_gamma 60.00
_symmetry_space_group_name_H-M 'P 1'
_symmetry_Int_Tables_number 1
loop_
_symmetry_equiv_pos_as_xyz
'x,y,z'
loop_
_atom_site_label
_atom_site_type_symbol
_atom_site_fract_x
_atom_site_fract_y
_atom_site_fract_z
K1 K 0.250 0.250 0.250
K2 K 0.750 0.750 0.750
Ag1 Ag 0.000 0.000 0.000
Sb1 Sb 0.500 0.500 0.500
Cl1 Cl 0.252 0.252 0.748
Cl2 Cl 0.252 0.748 0.252
Cl3 Cl 0.252 0.748 0.748
Cl4 Cl 0.748 0.252 0.252
Cl5 Cl 0.748 0.252 0.748
Cl6 Cl 0.748 0.748 0.252
# **Formation enthalpy at 0 K**: -15.8 eV per formula unit

---

Entry 4:
# GGA-PBE BP3Pb3O12, optimized geometry
data_BP3Pb3O12
_cell_length_a 7.093
_cell_length_b 21.893
_cell_length_c 14.236
_cell_angle_alpha 90.00
_cell_angle_beta 90.00
_cell_angle_gamma 90.00
_symmetry_space_group_name_H-M 'P 1'
_symmetry_Int_Tables_number 1
loop_
_symmetry_equiv_pos_as_xyz
'x,y,z'
loop_
_atom_site_label
_atom_site_type_symbol
_atom_site_fract_x
_atom_site_fract_y
_atom_site_fract_z
B1 B 0.215 0.166 0.005
B2 B 0.215 0.334 0.505
B3 B 0.285 0.666 0.005
B4 B 0.285 0.834 0.505
B5 B 0.715 0.166 0.495
B6 B 0.715 0.334 0.995
B7 B 0.785 0.666 0.495
B8 B 0.785 0.834 0.995
P1 P 0.015 0.740 0.088
P2 P 0.015 0.760 0.588
P3 P 0.036 0.081 0.121
P4 P 0.036 0.419 0.621
P5 P 0.117 0.592 0.869
P6 P 0.117 0.908 0.369
P7 P 0.383 0.092 0.869
P8 P 0.383 0.408 0.369
P9 P 0.464 0.581 0.121
P10 P 0.464 0.919 0.621
P11 P 0.485 0.240 0.088
P12 P 0.485 0.260 0.588
P13 P 0.515 0.740 0.412
P14 P 0.515 0.760 0.912
P15 P 0.536 0.081 0.379
P16 P 0.536 0.419 0.879
P17 P 0.617 0.592 0.631
P18 P 0.617 0.908 0.131
P19 P 0.883 0.092 0.631
P20 P 0.883 0.408 0.131
P21 P 0.964 0.581 0.379
P22 P 0.964 0.919 0.879
P23 P 0.985 0.240 0.412
P24 P 0.985 0.260 0.912
Pb1 Pb 0.009 0.746 0.318
Pb2 Pb 0.009 0.754 0.818
Pb3 Pb 0.079 0.058 0.363
Pb4 Pb 0.079 0.442 0.863
Pb5 Pb 0.151 0.577 0.627
Pb6 Pb 0.151 0.923 0.127
Pb7 Pb 0.349 0.077 0.627
Pb8 Pb 0.349 0.423 0.127
Pb9 Pb 0.421 0.558 0.363
Pb10 Pb 0.421 0.942 0.863
Pb11 Pb 0.491 0.246 0.318
Pb12 Pb 0.491 0.254 0.818
Pb13 Pb 0.509 0.746 0.182
Pb14 Pb 0.509 0.754 0.682
Pb15 Pb 0.579 0.058 0.137
Pb16 Pb 0.579 0.442 0.637
Pb17 Pb 0.651 0.577 0.873
Pb18 Pb 0.651 0.923 0.373
Pb19 Pb 0.849 0.077 0.873
Pb20 Pb 0.849 0.423 0.373
Pb21 Pb 0.921 0.558 0.137
Pb22 Pb 0.921 0.942 0.637
Pb23 Pb 0.991 0.246 0.182
Pb24 Pb 0.991 0.254 0.682
O1 O 0.025 0.641 0.808
O2 O 0.025 0.859 0.308
O3 O 0.029 0.060 0.565
O4 O 0.029 0.440 0.065
O5 O 0.070 0.595 0.287
O6 O 0.070 0.905 0.787
O7 O 0.074 0.214 0.984
O8 O 0.074 0.286 0.484
O9 O 0.092 0.691 0.016
O10 O 0.092 0.809 0.516
O11 O 0.113 0.568 0.456
O12 O 0.113 0.932 0.956
O13 O 0.133 0.213 0.346
O14 O 0.133 0.287 0.846
O15 O 0.152 0.142 0.096
O16 O 0.152 0.358 0.596
O17 O 0.173 0.730 0.645
O18 O 0.173 0.770 0.145
O19 O 0.185 0.031 0.131
O20 O 0.185 0.469 0.631
O21 O 0.212 0.542 0.808
O22 O 0.212 0.958 0.308
O23 O 0.215 0.120 0.930
O24 O 0.215 0.380 0.430
O25 O 0.285 0.620 0.930
O26 O 0.285 0.880 0.430
O27 O 0.288 0.042 0.808
O28 O 0.288 0.458 0.308
O29 O 0.315 0.531 0.131
O30 O 0.315 0.969 0.631
O31 O 0.327 0.230 0.645
O32 O 0.327 0.270 0.145
O33 O 0.348 0.642 0.096
O34 O 0.348 0.858 0.596
O35 O 0.367 0.713 0.346
O36 O 0.367 0.787 0.846
O37 O 0.387 0.068 0.456
O38 O 0.387 0.432 0.956
O39 O 0.408 0.191 0.016
O40 O 0.408 0.309 0.516
O41 O 0.426 0.714 0.984
O42 O 0.426 0.786 0.484
O43 O 0.430 0.095 0.287
O44 O 0.430 0.405 0.787
O45 O 0.471 0.560 0.565
O46 O 0.471 0.940 0.065
O47 O 0.475 0.141 0.808
O48 O 0.475 0.359 0.308
O49 O 0.525 0.641 0.692
O50 O 0.525 0.859 0.192
O51 O 0.529 0.060 0.935
O52 O 0.529 0.440 0.435
O53 O 0.570 0.595 0.213
O54 O 0.570 0.905 0.713
O55 O 0.574 0.214 0.516
O56 O 0.574 0.286 0.016
O57 O 0.592 0.691 0.484
O58 O 0.592 0.809 0.984
O59 O 0.613 0.568 0.044
O60 O 0.613 0.932 0.544
O61 O 0.633 0.213 0.154
O62 O 0.633 0.287 0.654
O63 O 0.652 0.142 0.404
O64 O 0.652 0.358 0.904
O65 O 0.673 0.730 0.855
O66 O 0.673 0.770 0.355
O67 O 0.685 0.031 0.369
O68 O 0.685 0.469 0.869
O69 O 0.712 0.542 0.692
O70 O 0.712 0.958 0.192
O71 O 0.715 0.120 0.570
O72 O 0.715 0.380 0.070
O73 O 0.785 0.620 0.570
O74 O 0.785 0.880 0.070
O75 O 0.788 0.042 0.692
O76 O 0.788 0.458 0.192
O77 O 0.815 0.531 0.369
O78 O 0.815 0.969 0.869
O79 O 0.827 0.230 0.855
O80 O 0.827 0.270 0.355
O81 O 0.848 0.642 0.404
O82 O 0.848 0.858 0.904
O83 O 0.867 0.713 0.154
O84 O 0.867 0.787 0.654
O85 O 0.887 0.068 0.044
O86 O 0.887 0.432 0.544
O87 O 0.908 0.191 0.484
O88 O 0.908 0.309 0.984
O89 O 0.926 0.714 0.516
O90 O 0.926 0.786 0.016
O91 O 0.930 0.095 0.213
O92 O 0.930 0.405 0.713
O93 O 0.971 0.560 0.935
O94 O 0.971 0.940 0.435
O95 O 0.975 0.141 0.692
O96 O 0.975 0.359 0.192
# **Formation enthalpy at 0 K**: -47.0 eV per formula unit

---

Entry 5:
# GGA-PBE Li3TiF6, optimized geometry
data_Li3TiF6
_cell_length_a 5.547
_cell_length_b 5.547
_cell_length_c 5.547
_cell_angle_alpha 60.00
_cell_angle_beta 60.00
_cell_angle_gamma 60.00
_symmetry_space_group_name_H-M 'P 1'
_symmetry_Int_Tables_number 1
loop_
_symmetry_equiv_pos_as_xyz
'x,y,z'
loop_
_atom_site_label
_atom_site_type_symbol
_atom_site_fract_x
_atom_site_fract_y
_atom_site_fract_z
Li1 Li 0.000 0.000 0.000
Li2 Li 0.250 0.250 0.250
Li3 Li 0.750 0.750 0.750
Ti1 Ti 0.500 0.500 0.500
F1 F 0.250 0.250 0.750
F2 F 0.250 0.750 0.250
F3 F 0.250 0.750 0.750
F4 F 0.750 0.250 0.250
F5 F 0.750 0.250 0.750
F6 F 0.750 0.750 0.250
# **Formation enthalpy at 0 K**: -31.3 eV per formula unit
# **Energy above the lowest structure with this stoichiometry**: 222 meV/atom

---

Entry 6:
# GGA-PBE Gd2Zr2O7, optimized geometry
data_Gd2Zr2O7
_cell_length_a 7.550
_cell_length_b 7.550
_cell_length_c 7.550
_cell_angle_alpha 60.00
_cell_angle_beta 60.00
_cell_angle_gamma 60.00
_symmetry_space_group_name_H-M 'P 1'
_symmetry_Int_Tables_number 1
loop_
_symmetry_equiv_pos_as_xyz
'x,y,z'
loop_
_atom_site_label
_atom_site_type_symbol
_atom_site_fract_x
_atom_site_fract_y
_atom_site_fract_z
Gd1 Gd 0.000 0.000 0.000
Gd2 Gd 0.000 0.000 0.500
Gd3 Gd 0.000 0.500 0.000
Gd4 Gd 0.500 0.000 0.000
Zr1 Zr 0.000 0.500 0.500
Zr2 Zr 0.500 0.000 0.500
Zr3 Zr 0.500 0.500 0.000
Zr4 Zr 0.500 0.500 0.500
O1 O 0.125 0.125 0.125
O2 O 0.161 0.161 0.589
O3 O 0.161 0.589 0.161
O4 O 0.161 0.589 0.589
O5 O 0.411 0.411 0.839
O6 O 0.411 0.839 0.411
O7 O 0.411 0.839 0.839
O8 O 0.589 0.161 0.161
O9 O 0.589 0.161 0.589
O10 O 0.589 0.589 0.161
O11 O 0.839 0.411 0.411
O12 O 0.839 0.411 0.839
O13 O 0.839 0.839 0.411
O14 O 0.875 0.875 0.875
# **Formation enthalpy at 0 K**: -42.3 eV per formula unit

---

Entry 7:
# GGA-PBE Er5Pb3, optimized geometry
data_Er5Pb3
_cell_length_a 8.998
_cell_length_b 8.998
_cell_length_c 6.583
_cell_angle_alpha 90.00
_cell_angle_beta 90.00
_cell_angle_gamma 120.00
_symmetry_space_group_name_H-M 'P 1'
_symmetry_Int_Tables_number 1
loop_
_symmetry_equiv_pos_as_xyz
'x,y,z'
loop_
_atom_site_label
_atom_site_type_symbol
_atom_site_fract_x
_atom_site_fract_y
_atom_site_fract_z
Er1 Er 0.000 0.240 0.250
Er2 Er 0.000 0.760 0.750
Er3 Er 0.240 0.000 0.250
Er4 Er 0.240 0.240 0.750
Er5 Er 0.333 0.667 0.000
Er6 Er 0.333 0.667 0.500
Er7 Er 0.667 0.333 0.000
Er8 Er 0.667 0.333 0.500
Er9 Er 0.760 0.000 0.750
Er10 Er 0.760 0.760 0.250
Pb1 Pb 0.000 0.392 0.750
Pb2 Pb 0.000 0.608 0.250
Pb3 Pb 0.392 0.000 0.750
Pb4 Pb 0.392 0.392 0.250
Pb5 Pb 0.608 0.000 0.250
Pb6 Pb 0.608 0.608 0.750
# **Formation enthalpy at 0 K**: -4.1 eV per formula unit

---

Entry 8:
# GGA-PBE MgTe4MoW3S4, optimized geometry
data_MgTe4MoW3S4
_cell_length_a 3.355
_cell_length_b 3.355
_cell_length_c 38.121
_cell_angle_alpha 90.00
_cell_angle_beta 90.00
_cell_angle_gamma 120.00
_symmetry_space_group_name_H-M 'P 1'
_symmetry_Int_Tables_number 1
loop_
_symmetry_equiv_pos_as_xyz
'x,y,z'
loop_
_atom_site_label
_atom_site_type_symbol
_atom_site_fract_x
_atom_site_fract_y
_atom_site_fract_z
Mg1 Mg 0.000 0.000 0.000
Te1 Te 0.033 0.984 0.734
Te2 Te 0.033 0.984 0.833
Te3 Te 0.366 0.650 0.170
Te4 Te 0.366 0.650 0.270
Mo1 Mo 0.366 0.650 0.408
W1 W 0.033 0.983 0.595
W2 W 0.033 0.984 0.220
W3 W 0.366 0.650 0.784
S1 S 0.033 0.984 0.368
S2 S 0.033 0.984 0.447
S3 S 0.366 0.650 0.556
S4 S 0.366 0.650 0.635
# **Formation enthalpy at 0 K**: -5.9 eV per formula unit
# **Energy above the lowest structure with this stoichiometry**: 59 meV/atom

---

- Which formula does entry 7 have?
  Er5Pb3